Entry 1:
A relaxed YbTlSe2 crystal. Source: the Materials Project database, functional r2SCAN.

Values from the calculation:
DFT total energy	-31.174	eV/atom

```
4
Lattice="-2.332 -1.579 2.974 -4.073 0.390 -0.167 -2.612 -7.061 -2.978" Properties=species:S:1:pos:R:3 pbc="T T T"
Se -2.231 -1.732 0.151
Se -6.787 -6.518 -0.322
Yb 0.000 0.000 0.000
Tl -4.509 -4.125 -0.086
```


Entry 2:
A relaxed Tm2Se3 crystal. Source: the Materials Project database, functional r2SCAN.

Values from the calculation:
DFT total energy	-24.808	eV/atom

```
20
Lattice="-6.209 -3.108 0.520 1.405 1.143 -6.724 7.737 -9.797 2.383" Properties=species:S:1:pos:R:3 pbc="T T T"
Se -1.594 -1.645 -4.914
Se 0.441 -7.580 -1.817
Se 4.526 -10.116 1.094
Se 2.097 -11.101 -2.143
Se -1.383 -3.947 -1.553
Se 2.351 -1.854 -5.270
Se 0.582 -9.908 1.450
Se 4.316 -7.815 -2.267
Se 0.207 -5.111 -5.056
Se 0.835 -0.661 -1.677
Se 2.491 -4.182 -2.003
Se 2.726 -6.651 1.236
Tm 2.255 -6.480 -3.649
Tm 0.677 -5.282 -0.171
Tm 4.046 -10.101 -3.891
Tm 6.228 -6.680 -4.027
Tm 0.456 -2.845 -3.408
Tm -1.113 -1.661 0.071
Tm 2.477 -8.917 -0.412
Tm -3.295 -5.082 0.207
```


Entry 3:
A relaxed TmSe2 crystal. Source: the Materials Project database, functional r2SCAN.

Values from the calculation:
DFT total energy	-22.975	eV/atom

```
6
Lattice="-2.047 -1.468 3.138 -2.716 -1.583 -2.512 4.378 -6.914 -0.377" Properties=species:S:1:pos:R:3 pbc="T T T"
Se -2.215 -1.497 1.726
Se -1.950 -4.850 0.330
Se 1.565 -5.115 -0.081
Se -2.549 -1.554 -1.100
Tm -0.390 -7.314 0.195
Tm 0.005 -2.651 0.053
```


Entry 4:
A relaxed YbTm2Se4 crystal. Source: the Materials Project database, functional r2SCAN.

Values from the calculation:
DFT total energy	-25.553	eV/atom

```
7
Lattice="3.997 0.000 0.000 0.000 6.855 -0.005 0.000 2.185 6.488" Properties=species:S:1:pos:R:3 pbc="T T T"
Yb 0.000 4.520 3.241
Se 0.000 6.763 4.877
Se 1.999 3.307 4.822
Se 1.999 5.732 1.661
Se 0.000 2.277 1.606
Tm 0.000 0.000 0.000
Tm 1.999 3.427 -0.002
```


Entry 5:
A relaxed U2Se3 crystal. Source: the Materials Project database, functional r2SCAN.

Values from the calculation:
DFT total energy	-42.138	eV/atom

```
20
Lattice="-0.274 -3.677 1.715 11.108 -0.570 0.553 -0.265 4.816 10.283" Properties=species:S:1:pos:R:3 pbc="T T T"
Se 9.352 3.173 10.706
Se 3.768 -0.333 7.120
Se 10.260 1.527 7.322
Se 0.309 -0.958 5.229
Se 8.597 -2.117 4.068
Se 1.971 2.686 8.484
Se 6.069 -0.660 1.966
Se 4.500 1.229 10.585
Se 6.801 0.902 5.431
Se 7.400 0.346 9.156
Se 3.169 0.223 3.395
Se 1.217 -2.604 1.845
U 1.850 1.446 5.807
U -0.369 1.133 9.602
U 8.718 -0.877 6.744
U 7.142 1.605 11.814
U 10.938 -0.564 2.949
U 5.216 -1.555 4.732
U 5.353 2.124 7.819
U 3.427 -1.036 0.738
```


Entry 6:
A relaxed USe3 crystal. Source: the Materials Project database, functional r2SCAN.

Values from the calculation:
DFT total energy	-31.914	eV/atom

```
8
Lattice="4.099 0.000 0.000 0.000 5.423 -0.433 0.000 -0.442 9.662" Properties=species:S:1:pos:R:3 pbc="T T T"
Se 1.025 1.920 6.309
Se 3.074 3.062 2.919
Se 1.025 4.772 6.100
Se 3.074 3.585 8.829
Se 3.074 0.210 3.128
Se 1.025 1.397 0.400
U 1.025 4.206 1.236
U 3.074 0.775 7.993
```


Question: Look up the DFT total energy of the first one.
Answer: -31.174 eV/atom